Compound: CeTh9O20
Source: the Materials Project database
Functional: PBE
Structure: relaxed

Cell lengths 6.8641, 7.9238, 8.8594 Å; angles 102.92, 97.42, 106.77 degrees
Element x y z (fractional)
Ce 0.0000 0.0000 0.0000
Th 0.0000 0.5000 0.0000
Th 0.1995 0.3991 0.3989
Th 0.1995 0.9000 0.3989
Th 0.3989 0.2993 0.8003
Th 0.4003 0.8008 0.8006
Th 0.5997 0.1992 0.1994
Th 0.6011 0.7007 0.1997
Th 0.8005 0.1000 0.6011
Th 0.8005 0.6009 0.6011
O 0.0496 0.2230 0.8515
O 0.0498 0.7277 0.8516
O 0.1501 0.1750 0.5501
O 0.1501 0.6751 0.5502
O 0.2476 0.1236 0.2475
O 0.2495 0.6250 0.2497
O 0.3469 0.0742 0.9506
O 0.3497 0.5751 0.9499
O 0.4502 0.0250 0.6503
O 0.4500 0.5252 0.6502
O 0.5500 0.4748 0.3498
O 0.5498 0.9750 0.3497
O 0.6503 0.4249 0.0501
O 0.6531 0.9258 0.0494
O 0.7505 0.3750 0.7503
O 0.7524 0.8764 0.7525
O 0.8499 0.3249 0.4498
O 0.8499 0.8250 0.4499
O 0.9502 0.2723 0.1484
O 0.9504 0.7770 0.1485

Values from the calculation:
crystal system	triclinic
calculated formation energy	-129.6	eV/f.u.